(1)
NaFeP3H7O13: optimized geometry, GGA+U.

a = 8.919 Å, b = 12.711 Å, c = 19.103 Å
α = 90.00°, β = 90.00°, γ = 90.00°
Fractional coordinates of all 200 atoms:
Na  0.191  0.015  0.232
Na  0.191  0.985  0.732
Na  0.309  0.485  0.732
Na  0.309  0.515  0.232
Na  0.691  0.485  0.768
Na  0.691  0.515  0.268
Na  0.809  0.015  0.268
Na  0.809  0.985  0.768
Fe  0.249  0.254  0.125
Fe  0.249  0.746  0.625
Fe  0.251  0.246  0.625
Fe  0.251  0.754  0.125
Fe  0.749  0.246  0.875
Fe  0.749  0.754  0.375
Fe  0.751  0.254  0.375
Fe  0.751  0.746  0.875
P  0.000  0.288  0.250
P  0.000  0.293  0.750
P  0.000  0.707  0.250
P  0.000  0.712  0.750
P  0.051  0.208  0.479
P  0.051  0.792  0.979
P  0.152  0.495  0.589
P  0.152  0.505  0.089
P  0.348  0.005  0.089
P  0.348  0.995  0.589
P  0.449  0.292  0.979
P  0.449  0.708  0.479
P  0.500  0.207  0.250
P  0.500  0.212  0.750
P  0.500  0.788  0.250
P  0.500  0.793  0.750
P  0.551  0.292  0.521
P  0.551  0.708  0.021
P  0.652  0.005  0.411
P  0.652  0.995  0.911
P  0.848  0.495  0.911
P  0.848  0.505  0.411
P  0.949  0.208  0.021
P  0.949  0.792  0.521
H  0.027  0.100  0.837
H  0.027  0.900  0.337
H  0.060  0.008  0.375
H  0.060  0.992  0.875
H  0.077  0.404  0.834
H  0.077  0.596  0.334
H  0.089  0.494  0.949
H  0.089  0.506  0.449
H  0.124  0.349  0.339
H  0.124  0.651  0.839
H  0.173  0.055  0.482
H  0.173  0.945  0.982
H  0.246  0.205  0.959
H  0.246  0.795  0.459
H  0.254  0.295  0.459
H  0.254  0.705  0.959
H  0.327  0.445  0.982
H  0.327  0.555  0.482
H  0.376  0.151  0.839
H  0.376  0.849  0.339
H  0.411  0.006  0.449
H  0.411  0.994  0.949
H  0.423  0.096  0.334
H  0.423  0.904  0.834
H  0.440  0.492  0.875
H  0.440  0.508  0.375
H  0.473  0.400  0.337
H  0.473  0.600  0.837
H  0.527  0.400  0.163
H  0.527  0.600  0.663
H  0.560  0.492  0.625
H  0.560  0.508  0.125
H  0.577  0.096  0.166
H  0.577  0.904  0.666
H  0.589  0.006  0.051
H  0.589  0.994  0.551
H  0.624  0.151  0.661
H  0.624  0.849  0.161
H  0.673  0.445  0.518
H  0.673  0.555  0.018
H  0.746  0.295  0.041
H  0.746  0.705  0.541
H  0.754  0.205  0.541
H  0.754  0.795  0.041
H  0.827  0.055  0.018
H  0.827  0.945  0.518
H  0.876  0.349  0.161
H  0.876  0.651  0.661
H  0.911  0.494  0.551
H  0.911  0.506  0.051
H  0.923  0.404  0.666
H  0.923  0.596  0.166
H  0.940  0.008  0.125
H  0.940  0.992  0.625
H  0.973  0.100  0.663
H  0.973  0.900  0.163
O  0.026  0.483  0.904
O  0.026  0.517  0.404
O  0.056  0.027  0.829
O  0.056  0.973  0.329
O  0.082  0.223  0.556
O  0.082  0.777  0.056
O  0.084  0.222  0.196
O  0.084  0.778  0.696
O  0.086  0.092  0.455
O  0.086  0.908  0.955
O  0.093  0.225  0.701
O  0.093  0.775  0.201
O  0.110  0.235  0.041
O  0.110  0.765  0.541
O  0.111  0.367  0.290
O  0.111  0.633  0.790
O  0.115  0.366  0.791
O  0.115  0.634  0.291
O  0.158  0.284  0.433
O  0.158  0.716  0.933
O  0.194  0.499  0.511
O  0.194  0.501  0.011
O  0.202  0.407  0.130
O  0.202  0.593  0.630
O  0.217  0.401  0.629
O  0.217  0.599  0.129
O  0.283  0.099  0.129
O  0.283  0.901  0.629
O  0.298  0.093  0.630
O  0.298  0.907  0.130
O  0.306  0.001  0.011
O  0.306  0.999  0.511
O  0.342  0.216  0.933
O  0.342  0.784  0.433
O  0.385  0.134  0.291
O  0.385  0.866  0.791
O  0.389  0.133  0.790
O  0.389  0.867  0.290
O  0.390  0.265  0.541
O  0.390  0.735  0.041
O  0.407  0.275  0.201
O  0.407  0.725  0.701
O  0.414  0.408  0.955
O  0.414  0.592  0.455
O  0.416  0.278  0.696
O  0.416  0.722  0.196
O  0.418  0.277  0.056
O  0.418  0.723  0.556
O  0.444  0.473  0.329
O  0.444  0.527  0.829
O  0.474  0.017  0.404
O  0.474  0.983  0.904
O  0.526  0.017  0.096
O  0.526  0.983  0.596
O  0.556  0.473  0.171
O  0.556  0.527  0.671
O  0.582  0.277  0.444
O  0.582  0.723  0.944
O  0.584  0.278  0.804
O  0.584  0.722  0.304
O  0.586  0.408  0.545
O  0.586  0.592  0.045
O  0.593  0.275  0.299
O  0.593  0.725  0.799
O  0.610  0.265  0.959
O  0.610  0.735  0.459
O  0.611  0.133  0.710
O  0.611  0.867  0.210
O  0.615  0.134  0.209
O  0.615  0.866  0.709
O  0.658  0.216  0.567
O  0.658  0.784  0.067
O  0.694  0.001  0.489
O  0.694  0.999  0.989
O  0.702  0.093  0.870
O  0.702  0.907  0.370
O  0.717  0.099  0.371
O  0.717  0.901  0.871
O  0.783  0.401  0.871
O  0.783  0.599  0.371
O  0.798  0.407  0.370
O  0.798  0.593  0.870
O  0.806  0.499  0.989
O  0.806  0.501  0.489
O  0.842  0.284  0.067
O  0.842  0.716  0.567
O  0.885  0.366  0.709
O  0.885  0.634  0.209
O  0.889  0.367  0.210
O  0.889  0.633  0.710
O  0.890  0.235  0.459
O  0.890  0.765  0.959
O  0.907  0.225  0.799
O  0.907  0.775  0.299
O  0.914  0.092  0.045
O  0.914  0.908  0.545
O  0.916  0.222  0.304
O  0.916  0.778  0.804
O  0.918  0.223  0.944
O  0.918  0.777  0.444
O  0.944  0.027  0.671
O  0.944  0.973  0.171
O  0.974  0.483  0.596
O  0.974  0.517  0.096

For the formation energy, the calculation gives -2009 meV/atom. For the MP2020-corrected energy, the calculation gives -6.5734 eV per atom. Its total DFT energy (no corrections) is -1225.18 eV/cell.


(2)
Li2V2O5F2: optimized geometry, GGA+U.

a = 7.063 Å, b = 7.063 Å, c = 6.880 Å
α = 116.70°, β = 116.70°, γ = 61.93°
Fractional coordinates of all 22 atoms:
Li  0.017  0.983  0.500
Li  0.397  0.858  0.875
Li  0.858  0.397  0.375
Li  0.983  0.017  0.000
V  0.392  0.412  0.395
V  0.412  0.392  0.895
V  0.475  0.891  0.445
V  0.891  0.475  0.945
O  0.110  0.479  0.236
O  0.132  0.462  0.865
O  0.360  0.753  0.494
O  0.370  0.515  0.692
O  0.462  0.132  0.365
O  0.479  0.110  0.736
O  0.515  0.370  0.192
O  0.737  0.744  0.984
O  0.744  0.737  0.484
O  0.753  0.360  0.994
F  0.047  0.094  0.317
F  0.094  0.047  0.817
F  0.369  0.768  0.112
F  0.768  0.369  0.612

For the formation energy, the calculation gives -2543 meV/atom. For the MP2020-corrected energy, the calculation gives -7.1384 eV per atom. Its total DFT energy (no corrections) is -141.53 eV/cell.


(3)
V3H4O8: optimized geometry, GGA+U.

a = 9.118 Å, b = 9.118 Å, c = 5.970 Å
α = 96.49°, β = 96.49°, γ = 22.84°
Fractional coordinates of all 15 atoms:
V  0.000  0.000  0.000
V  0.194  0.194  0.845
V  0.806  0.806  0.155
H  0.075  0.075  0.412
H  0.203  0.203  0.409
H  0.797  0.797  0.591
H  0.925  0.925  0.588
O  0.032  0.032  0.294
O  0.109  0.109  0.935
O  0.171  0.171  0.534
O  0.263  0.263  0.139
O  0.737  0.737  0.861
O  0.829  0.829  0.466
O  0.891  0.891  0.065
O  0.968  0.968  0.706

For the formation energy, the calculation gives -1750 meV/atom. The excess energy over the best structure of this formula in the dataset is 51 kJ/mol of formula units. For the MP2020-corrected energy, the calculation gives -7.1100 eV per atom. Its total DFT energy (no corrections) is -96.05 eV/cell.


(4)
Sr2NiWO6: optimized geometry, GGA+U.

a = 5.630 Å, b = 5.676 Å, c = 9.778 Å
α = 89.46°, β = 73.27°, γ = 60.28°
Fractional coordinates of all 20 atoms:
O  0.241  0.138  0.379
O  0.200  0.359  0.642
O  0.801  0.642  0.358
O  0.283  0.600  0.400
O  0.717  0.400  0.600
O  0.241  0.638  0.879
O  0.717  0.900  0.100
O  0.283  0.100  0.900
O  0.759  0.362  0.121
O  0.801  0.141  0.858
O  0.199  0.859  0.142
O  0.759  0.862  0.621
Sr  0.250  0.375  0.125
Sr  0.750  0.625  0.875
Sr  0.250  0.875  0.625
Sr  0.750  0.125  0.375
W  0.000  0.500  0.500
W  0.000  0.000  0.000
Ni  0.500  0.750  0.250
Ni  0.500  0.250  0.750

For the formation energy, the calculation gives -2598 meV/atom. For the MP2020-corrected energy, the calculation gives -7.7786 eV per atom. Its total DFT energy (no corrections) is -133.37 eV/cell.


(5)
LaTiZnCrO6: optimized geometry, GGA+U.

a = 5.372 Å, b = 5.565 Å, c = 9.402 Å
α = 90.00°, β = 124.75°, γ = 90.00°
Fractional coordinates of all 20 atoms:
La  0.000  0.205  0.000
La  0.000  0.795  0.500
Ti  0.757  0.274  0.247
Ti  0.757  0.726  0.747
Zn  0.512  0.232  0.499
Zn  0.512  0.768  0.999
Cr  0.261  0.254  0.751
Cr  0.261  0.746  0.251
O  0.003  0.461  0.208
O  0.003  0.539  0.708
O  0.138  0.229  0.500
O  0.138  0.771  0.000
O  0.440  0.275  0.006
O  0.440  0.725  0.506
O  0.511  0.055  0.307
O  0.511  0.945  0.807
O  0.599  0.472  0.803
O  0.599  0.528  0.303
O  0.895  0.056  0.695
O  0.895  0.944  0.195

For the formation energy, the calculation gives -2935 meV/atom. For the MP2020-corrected energy, the calculation gives -8.2779 eV per atom. Its total DFT energy (no corrections) is -153.32 eV/cell.


(6)
Mn3Al2Ge3O12: optimized geometry, GGA+U.

a = 10.429 Å, b = 10.429 Å, c = 10.429 Å
α = 109.47°, β = 109.47°, γ = 109.47°
Fractional coordinates of all 80 atoms:
Mn  0.125  0.250  0.375
Mn  0.125  0.375  0.750
Mn  0.250  0.375  0.125
Mn  0.250  0.875  0.625
Mn  0.375  0.125  0.250
Mn  0.375  0.750  0.125
Mn  0.625  0.250  0.875
Mn  0.625  0.875  0.750
Mn  0.750  0.125  0.375
Mn  0.750  0.625  0.875
Mn  0.875  0.625  0.250
Mn  0.875  0.750  0.625
Al  0.000  0.000  0.000
Al  0.000  0.000  0.500
Al  0.000  0.500  0.000
Al  0.000  0.500  0.500
Al  0.500  0.000  0.000
Al  0.500  0.000  0.500
Al  0.500  0.500  0.000
Al  0.500  0.500  0.500
Ge  0.125  0.750  0.875
Ge  0.125  0.875  0.250
Ge  0.250  0.125  0.875
Ge  0.250  0.625  0.375
Ge  0.375  0.250  0.625
Ge  0.375  0.625  0.750
Ge  0.625  0.375  0.250
Ge  0.625  0.750  0.375
Ge  0.750  0.375  0.625
Ge  0.750  0.875  0.125
Ge  0.875  0.125  0.750
Ge  0.875  0.250  0.125
O  0.020  0.198  0.120
O  0.020  0.322  0.899
O  0.077  0.698  0.678
O  0.077  0.880  0.399
O  0.101  0.620  0.423
O  0.101  0.980  0.678
O  0.120  0.020  0.198
O  0.120  0.601  0.923
O  0.178  0.198  0.577
O  0.178  0.480  0.601
O  0.198  0.120  0.020
O  0.198  0.577  0.178
O  0.302  0.322  0.923
O  0.302  0.480  0.380
O  0.322  0.899  0.020
O  0.322  0.923  0.302
O  0.380  0.302  0.480
O  0.380  0.577  0.899
O  0.399  0.077  0.880
O  0.399  0.822  0.520
O  0.423  0.101  0.620
O  0.423  0.822  0.802
O  0.480  0.380  0.302
O  0.480  0.601  0.178
O  0.520  0.399  0.822
O  0.520  0.620  0.698
O  0.577  0.178  0.198
O  0.577  0.899  0.380
O  0.601  0.178  0.480
O  0.601  0.923  0.120
O  0.620  0.423  0.101
O  0.620  0.698  0.520
O  0.678  0.077  0.698
O  0.678  0.101  0.980
O  0.698  0.520  0.620
O  0.698  0.678  0.077
O  0.802  0.423  0.822
O  0.802  0.880  0.980
O  0.822  0.520  0.399
O  0.822  0.802  0.423
O  0.880  0.399  0.077
O  0.880  0.980  0.802
O  0.899  0.020  0.322
O  0.899  0.380  0.577
O  0.923  0.120  0.601
O  0.923  0.302  0.322
O  0.980  0.678  0.101
O  0.980  0.802  0.880

For the formation energy, the calculation gives -2454 meV/atom. For the MP2020-corrected energy, the calculation gives -7.8650 eV per atom. Its total DFT energy (no corrections) is -576.21 eV/cell.


(7)
La2Fe2O5: optimized geometry, GGA+U.

a = 4.074 Å, b = 4.131 Å, c = 7.548 Å
α = 91.01°, β = 94.06°, γ = 90.52°
Fractional coordinates of all 9 atoms:
La  0.000  0.000  0.000
La  0.132  0.986  0.503
Fe  0.604  0.484  0.263
Fe  0.637  0.496  0.730
O  0.138  0.478  0.312
O  0.141  0.497  0.700
O  0.633  0.988  0.275
O  0.668  0.994  0.713
O  0.731  0.496  0.001

For the formation energy, the calculation gives -2658 meV/atom. The excess energy over the best structure of this formula in the dataset is 70 kJ/mol of formula units. For the MP2020-corrected energy, the calculation gives -8.3864 eV per atom. Its total DFT energy (no corrections) is -67.53 eV/cell.


(8)
Li2VFeP2H2O10: optimized geometry, GGA+U.

a = 6.949 Å, b = 7.528 Å, c = 7.872 Å
α = 117.40°, β = 92.03°, γ = 90.87°
Fractional coordinates of all 36 atoms:
Li  0.000  0.000  0.000
Li  0.177  0.328  0.973
Li  0.500  0.500  0.501
Li  0.678  0.828  0.474
V  0.589  0.664  0.987
V  0.839  0.415  0.237
Fe  0.089  0.164  0.487
Fe  0.339  0.913  0.737
P  0.242  0.688  0.278
P  0.435  0.141  0.196
P  0.742  0.187  0.777
P  0.936  0.641  0.696
H  0.298  0.594  0.754
H  0.379  0.234  0.718
H  0.799  0.092  0.256
H  0.880  0.737  0.220
O  0.063  0.463  0.666
O  0.064  0.820  0.713
O  0.114  0.509  0.259
O  0.115  0.865  0.308
O  0.257  0.158  0.705
O  0.285  0.082  0.025
O  0.334  0.225  0.389
O  0.343  0.604  0.084
O  0.393  0.747  0.448
O  0.419  0.670  0.766
O  0.563  0.963  0.167
O  0.564  0.319  0.215
O  0.613  0.009  0.761
O  0.614  0.364  0.807
O  0.759  0.660  0.208
O  0.783  0.582  0.526
O  0.836  0.724  0.890
O  0.843  0.103  0.584
O  0.894  0.246  0.948
O  0.921  0.168  0.269

For the formation energy, the calculation gives -2363 meV/atom. The excess energy over the best structure of this formula in the dataset is 12 kJ/mol of formula units. For the MP2020-corrected energy, the calculation gives -7.2775 eV per atom. Its total DFT energy (no corrections) is -240.34 eV/cell.


Record order is preserved below.
Magnetization: 5.001, 0.000, 2.999, 0.000, 3.003, 15.000, 8.000, 6.992 μB per formula unit